Material: BaMn2O8
Method: DFT, GGA+U
State: relaxed

polymorph energy (0 for the lowest one)	38	kJ/mol of formula units
uncorrected energy	-6.16	eV per atom
ΔH_f (0 K)	-1.520	eV/atom

Cell lengths 7.2691, 13.7214, 17.5047 Å; angles 90.00, 90.00, 90.00 degrees
Closest atoms and distances in Å follow each position.
Space group Fddd (No. 70, origin choice 2)
Unique sites:
1 Ba 0.1250 0.1250 0.1250 (multiplicity 8)  8 O 2.79-2.85
2 Mn 0.1250 0.1250 0.3248 (multiplicity 16)  4 O 1.62
3 O 0.0536 0.3722 0.2302 (multiplicity 32)  1 Mn 1.62
4 O 0.1234 0.0282 0.3778 (multiplicity 32)  1 Mn 1.62

---

Material: BaMn4O8
Method: DFT, GGA+U
State: relaxed

polymorph energy (0 for the lowest one)	0	kJ/mol of formula units
uncorrected energy	-7.22	eV per atom
ΔH_f (0 K)	-2.141	eV/atom

Cell lengths 5.9528, 12.9634, 12.9734 Å; angles 89.20, 83.17, 83.50 degrees
Closest atoms and distances in Å follow each position.
Space group P-1 (No. 2)
Unique sites:
1 Ba 0.0000 0.0000 0.0000 (multiplicity 1)  8 O 2.85-2.89, 2 Ba 2.98
2 Ba 0.0962 0.5163 0.1451 (multiplicity 2)  7 O 2.67-2.96
3 Ba 0.3297 0.1448 0.4837 (multiplicity 2)  7 O 2.68-2.96
4 Ba 0.5000 0.0000 0.0000 (multiplicity 1)  8 O 2.86-2.88, 2 Ba 2.98
5 Mn 0.0018 0.3649 0.6224 (multiplicity 2)  5 O 1.92-2.13
6 Mn 0.0643 0.0191 0.7163 (multiplicity 2)  6 O 1.90-2.07
7 Mn 0.0751 0.7193 0.9775 (multiplicity 2)  6 O 1.90-2.03
8 Mn 0.1434 0.2156 0.2116 (multiplicity 2)  6 O 1.92-2.02
9 Mn 0.1870 0.6271 0.6305 (multiplicity 2)  5 O 1.94-2.07
10 Mn 0.2480 0.7881 0.2192 (multiplicity 2)  6 O 1.91-2.04
11 Mn 0.2503 0.2120 0.7850 (multiplicity 2)  6 O 1.93-2.03
12 Mn 0.3160 0.3776 0.3647 (multiplicity 2)  5 O 1.92-2.13
13 Mn 0.3582 0.7815 0.7877 (multiplicity 2)  6 O 1.91-2.05
14 Mn 0.4247 0.2838 0.0191 (multiplicity 2)  6 O 1.91-2.05
15 Mn 0.4335 0.9775 0.2808 (multiplicity 2)  6 O 1.90-2.04
16 Mn 0.4993 0.6303 0.3732 (multiplicity 2)  5 O 1.94-2.07
17 O 0.0269 0.7631 0.1203 (multiplicity 2)  3 Mn 1.92-2.00
18 O 0.0424 0.4721 0.3516 (multiplicity 2)  3 Mn 1.95-2.13
19 O 0.0484 0.1738 0.6871 (multiplicity 2)  3 Mn 1.95-2.04
20 O 0.0824 0.8799 0.7672 (multiplicity 2)  3 Mn 1.91-2.00
21 O 0.0971 0.2720 0.3505 (multiplicity 2)  3 Mn 1.93-2.02
22 O 0.1080 0.6876 0.8253 (multiplicity 2)  3 Mn 1.94-2.04
23 O 0.1533 0.3731 0.9952 (multiplicity 2)  2 Mn 1.91-1.93
24 O 0.1600 0.9990 0.3729 (multiplicity 2)  2 Mn 1.90
25 O 0.1918 0.1810 0.0586 (multiplicity 2)  3 Mn 2.02-2.05
26 O 0.2182 0.9403 0.1825 (multiplicity 2)  3 Mn 2.01-2.03
27 O 0.2240 0.6433 0.4704 (multiplicity 2)  3 Mn 1.92-2.07
28 O 0.2255 0.3507 0.7283 (multiplicity 2)  3 Mn 1.93-2.02
29 O 0.2673 0.6494 0.2725 (multiplicity 2)  3 Mn 1.91-2.00
30 O 0.2788 0.0584 0.8199 (multiplicity 2)  3 Mn 2.03-2.07
31 O 0.2818 0.3510 0.5276 (multiplicity 2)  3 Mn 1.94-2.13
32 O 0.3113 0.8185 0.9403 (multiplicity 2)  3 Mn 2.02-2.05
33 O 0.3380 0.6280 0.0003 (multiplicity 2)  2 Mn 1.90-1.91
34 O 0.3504 0.9948 0.6277 (multiplicity 2)  2 Mn 1.92-1.93
35 O 0.3654 0.3133 0.1740 (multiplicity 2)  3 Mn 1.95-2.05
36 O 0.4038 0.1202 0.2371 (multiplicity 2)  3 Mn 1.92-2.01
37 O 0.4106 0.7280 0.6491 (multiplicity 2)  3 Mn 1.91-2.01
38 O 0.4529 0.5295 0.6442 (multiplicity 2)  3 Mn 1.92-2.07
39 O 0.4691 0.2327 0.8796 (multiplicity 2)  3 Mn 1.91-1.99
40 O 0.4788 0.8257 0.3122 (multiplicity 2)  3 Mn 1.95-2.04

---

Material: Ba2Mn2O5
Method: DFT, GGA+U
State: relaxed

uncorrected energy	-6.91	eV per atom
ΔH_f (0 K)	-2.454	eV/atom

Cell lengths 16.6222, 5.8090, 5.8166 Å; angles 90.00, 90.00, 90.00 degrees
Closest atoms and distances in Å follow each position.
Space group Ima2 (No. 46)
Unique sites:
1 Ba 0.1136 0.0014 0.0000 (multiplicity 8)  8 O 2.73-3.00
2 Mn 0.0000 0.0000 0.5003 (multiplicity 4)  4 O 2.06
3 Mn 0.2500 0.0492 0.5106 (multiplicity 4)  4 O 1.88-1.93
4 O 0.0040 0.2483 0.7521 (multiplicity 8)  2 Mn 2.06
5 O 0.1413 0.5382 0.9911 (multiplicity 8)  1 Mn 1.88
6 O 0.2500 0.1941 0.8000 (multiplicity 4)  2 Mn 1.88-1.93

---

Material: BaMn4O8
Method: DFT, GGA+U
State: relaxed

polymorph energy (0 for the lowest one)	39	kJ/mol of formula units
uncorrected energy	-7.19	eV per atom
ΔH_f (0 K)	-2.110	eV/atom

Cell lengths 13.7519, 3.1627, 9.6697 Å; angles 90.00, 133.90, 90.00 degrees
Closest atoms and distances in Å follow each position.
Space group C2/m (No. 12)
Unique sites:
1 Ba 0.0000 0.0000 0.0000 (multiplicity 2)  10 O 2.88-3.12, 2 Ba 3.16
2 Mn 0.1490 0.0000 0.4830 (multiplicity 4)  6 O 1.90-2.10
3 Mn 0.1625 0.5000 0.8160 (multiplicity 4)  6 O 1.89-2.10
4 O 0.0422 0.0000 0.7219 (multiplicity 4)  3 Mn 1.90-1.99
5 O 0.1538 0.5000 0.3446 (multiplicity 4)  3 Mn 1.97-2.10
6 O 0.1574 0.5000 0.6152 (multiplicity 4)  3 Mn 1.89-1.99
7 O 0.1980 0.5000 0.0514 (multiplicity 4)  3 Mn 1.97-2.10

---

Material: BaMn5O11
Method: DFT, GGA+U
State: relaxed

uncorrected energy	-6.88	eV per atom
ΔH_f (0 K)	-1.803	eV/atom

Cell lengths 13.7619, 3.0459, 9.5965 Å; angles 90.00, 92.39, 90.00 degrees
Closest atoms and distances in Å follow each position.
Space group Cm (No. 8)
Unique sites:
1 Ba 0.0000 0.0000 0.0000 (multiplicity 2)  2 O 2.49
2 Mn 0.0919 0.0000 0.3703 (multiplicity 2)  6 O 1.87-2.01
3 Mn 0.2475 0.5000 0.6153 (multiplicity 2)  6 O 1.94-2.00
4 Mn 0.2505 0.0000 0.8814 (multiplicity 2)  6 O 1.92-2.04
5 Mn 0.2540 0.5000 0.1522 (multiplicity 2)  6 O 1.92-2.08
6 Mn 0.4087 0.0000 0.4002 (multiplicity 2)  6 O 1.88-1.95
7 O 0.0185 0.5000 0.2790 (multiplicity 2)  3 Mn 1.94-2.01
8 O 0.1518 0.5000 0.4610 (multiplicity 2)  3 Mn 1.92-1.94
9 O 0.1736 0.0000 0.2192 (multiplicity 2)  3 Mn 1.87-2.00
10 O 0.1780 0.5000 0.9723 (multiplicity 2)  3 Mn 1.98-2.04
11 O 0.1813 0.0000 0.7031 (multiplicity 2)  3 Mn 1.92-1.98
12 O 0.3183 0.0000 0.5414 (multiplicity 2)  3 Mn 1.88-1.96
13 O 0.3195 0.5000 0.8003 (multiplicity 2)  3 Mn 1.97-2.00
14 O 0.3282 0.0000 0.0545 (multiplicity 2)  3 Mn 1.94-2.08
15 O 0.3486 0.5000 0.3050 (multiplicity 2)  3 Mn 1.92-1.94
16 O 0.4800 0.5000 0.4811 (multiplicity 2)  3 Mn 1.91-1.95
17 O 0.4991 0.0000 0.7941 (multiplicity 2)  2 Ba 2.49

---

Material: Ba5Mn5O14
Method: DFT, GGA+U
State: relaxed

uncorrected energy	-6.94	eV per atom
ΔH_f (0 K)	-2.492	eV/atom

Cell lengths 23.9309, 9.9832, 5.7998 Å; angles 90.00, 90.00, 90.00 degrees
Closest atoms and distances in Å follow each position.
Space group Ama2 (No. 40)
Unique sites:
1 Ba 0.0460 0.1661 0.0000 (multiplicity 8)  12 O 2.87-3.06
2 Ba 0.1391 0.3343 0.4942 (multiplicity 8)  9 O 2.75-2.97
3 Ba 0.2500 0.4991 0.0009 (multiplicity 4)  9 O 2.74-3.07
4 Mn 0.0000 0.0000 0.5076 (multiplicity 4)  6 O 1.93-1.94
5 Mn 0.1074 0.4989 0.0002 (multiplicity 8)  6 O 1.89-2.04
6 Mn 0.1919 0.1634 0.0061 (multiplicity 8)  5 O 1.94-1.99
7 O 0.0513 0.4230 0.2294 (multiplicity 8)  2 Mn 1.94-2.04
8 O 0.0514 0.4245 0.7849 (multiplicity 8)  2 Mn 1.94-1.98
9 O 0.0523 0.1466 0.5049 (multiplicity 8)  2 Mn 1.93-1.98
10 O 0.1485 0.0794 0.2593 (multiplicity 8)  2 Mn 1.89-1.99
11 O 0.1524 0.0880 0.7392 (multiplicity 8)  2 Mn 1.96-1.97
12 O 0.1523 0.3349 0.9855 (multiplicity 8)  2 Mn 1.96
13 O 0.2500 0.0293 0.9724 (multiplicity 4)  2 Mn 1.94
14 O 0.2500 0.2472 0.1891 (multiplicity 4)  2 Mn 1.94

---

Material: BaMn4O8
Method: DFT, GGA+U
State: relaxed

polymorph energy (0 for the lowest one)	400	kJ/mol of formula units
uncorrected energy	-6.90	eV per atom
ΔH_f (0 K)	-1.822	eV/atom

Cell lengths 5.6458, 5.6458, 7.7729 Å; angles 90.00, 90.00, 120.00 degrees
Closest atoms and distances in Å follow each position.
Space group P-31m (No. 162)
Unique sites:
1 Ba 0.0000 0.0000 0.0000 (multiplicity 1)  12 O 3.01-3.26
2 Mn 0.3333 0.6667 0.2418 (multiplicity 4)  4 O 1.84-1.88
3 O 0.0000 0.3597 0.2855 (multiplicity 6)  2 Mn 1.84
4 O 0.3333 0.6667 0.0000 (multiplicity 2)  2 Mn 1.88

---

Material: BaMn2O5
Method: DFT, GGA+U
State: relaxed

uncorrected energy	-6.83	eV per atom
ΔH_f (0 K)	-2.057	eV/atom

Cell lengths 3.8501, 12.2402, 4.1471 Å; angles 90.00, 90.00, 90.00 degrees
Closest atoms and distances in Å follow each position.
Space group Amm2 (No. 38)
Unique sites:
1 Ba 0.0000 0.0000 0.0000 (multiplicity 2)  12 O 2.73-2.92
2 Mn 0.5000 0.1643 0.4995 (multiplicity 4)  6 O 1.92-2.09
3 O 0.0000 0.1453 0.4986 (multiplicity 4)  2 Mn 1.94
4 O 0.5000 0.0000 0.5000 (multiplicity 2)  2 Mn 2.01
5 O 0.5000 0.1790 0.9975 (multiplicity 4)  3 Mn 1.92-2.09

---

Q: The highest ΔH_f (0 K) belongs to which entry?
A: BaMn2O8

---

What did the third record say?
Material: Ba2Mn2O5
Method: DFT, GGA+U
State: relaxed

uncorrected energy	-6.91	eV per atom
ΔH_f (0 K)	-2.454	eV/atom

Cell lengths 16.6222, 5.8090, 5.8166 Å; angles 90.00, 90.00, 90.00 degrees
Closest atoms and distances in Å follow each position.
Space group Ima2 (No. 46)
Unique sites:
1 Ba 0.1136 0.0014 0.0000 (multiplicity 8)  8 O 2.73-3.00
2 Mn 0.0000 0.0000 0.5003 (multiplicity 4)  4 O 2.06
3 Mn 0.2500 0.0492 0.5106 (multiplicity 4)  4 O 1.88-1.93
4 O 0.0040 0.2483 0.7521 (multiplicity 8)  2 Mn 2.06
5 O 0.1413 0.5382 0.9911 (multiplicity 8)  1 Mn 1.88
6 O 0.2500 0.1941 0.8000 (multiplicity 4)  2 Mn 1.88-1.93

---

Please write out number 7 again, unchanged.
Material: BaMn4O8
Method: DFT, GGA+U
State: relaxed

polymorph energy (0 for the lowest one)	400	kJ/mol of formula units
uncorrected energy	-6.90	eV per atom
ΔH_f (0 K)	-1.822	eV/atom

Cell lengths 5.6458, 5.6458, 7.7729 Å; angles 90.00, 90.00, 120.00 degrees
Closest atoms and distances in Å follow each position.
Space group P-31m (No. 162)
Unique sites:
1 Ba 0.0000 0.0000 0.0000 (multiplicity 1)  12 O 3.01-3.26
2 Mn 0.3333 0.6667 0.2418 (multiplicity 4)  4 O 1.84-1.88
3 O 0.0000 0.3597 0.2855 (multiplicity 6)  2 Mn 1.84
4 O 0.3333 0.6667 0.0000 (multiplicity 2)  2 Mn 1.88

---

Q: Which value of ΔH_f (0 K) does entry 5 give?
A: -1.803 eV/atom